Record 1
NiOF: optimized geometry, PBE+U.

Output
Space-group type: P4/mmm, No. 123
Formation enthalpy at 0 K (eV/atom): -1.2052
Magnetization (Bohr magnetons per cell): 2.616
Energy (eV per atom): -4.189

Lattice parameters (Å, degrees): 2.8846 2.8846 3.8506 90.00 90.00 90.00
Last column: nearest neighbours and their distance in Å.
Fractional positions:
Ni: 0.0000 0.0000 0.0000  2 F 1.93, 4 O 2.04
O: 0.5000 0.5000 0.0000  4 Ni 2.04
F: 0.0000 0.0000 0.5000  2 Ni 1.93

=====

Record 2
Ni3OF5: optimized geometry, PBE+U.

Output
Space-group type: C2/m, No. 12
Formation enthalpy at 0 K (eV/atom): -1.9923
Magnetization (Bohr magnetons per cell): 14.000
Energy (eV per atom): -4.352

Lattice parameters (Å, degrees): 5.6270 5.6270 7.2844 72.79 72.79 73.14
Last column: nearest neighbours and their distance in Å.
Fractional positions:
Ni: 0.3346 0.3346 0.1658  6 F 2.00-2.03
Ni: 0.3244 0.3244 0.6631  1 O 1.97, 5 F 2.03-2.06
Ni: 0.0000 0.0000 0.0000  2 O 2.00, 4 F 2.03-2.04
Ni: 0.0000 0.0000 0.5000  2 O 1.98, 4 F 2.05
Ni: 0.6654 0.6654 0.8342  6 F 2.00-2.03
Ni: 0.6756 0.6756 0.3369  1 O 1.97, 5 F 2.03-2.06
O: 0.9036 0.9036 0.2956  3 Ni 1.97-2.00
O: 0.0964 0.0964 0.7044  3 Ni 1.97-2.00
F: 0.6316 0.0266 0.6646  3 Ni 2.03-2.05
F: 0.3038 0.6962 0.0000  3 Ni 2.02-2.04
F: 0.2335 0.2335 0.9637  3 Ni 2.00-2.04
F: 0.5594 0.5594 0.6345  3 Ni 2.02-2.06
F: 0.4406 0.4406 0.3655  3 Ni 2.02-2.06
F: 0.7665 0.7665 0.0363  3 Ni 2.00-2.04
F: 0.3684 0.9734 0.3354  3 Ni 2.03-2.05
F: 0.0266 0.6316 0.6646  3 Ni 2.03-2.05
F: 0.6962 0.3038 0.0000  3 Ni 2.02-2.04
F: 0.9734 0.3684 0.3354  3 Ni 2.03-2.05

=====

Record 3
Ni6OF11: optimized geometry, PBE+U.

Output
Space-group type: Amm2, No. 38
Formation enthalpy at 0 K (eV/atom): -2.1538
Magnetization (Bohr magnetons per cell): 13.001
Energy (eV per atom): -4.358

Lattice parameters (Å, degrees): 10.5372 10.5372 3.0893 90.00 90.00 143.35
Last column: nearest neighbours and their distance in Å.
Fractional positions:
Ni: 0.0035 0.0035 0.0000  1 O 2.01, 5 F 2.03
Ni: 0.4922 0.4922 0.5000  2 O 1.97, 4 F 2.03-2.06
Ni: 0.6676 0.3335 0.0000  6 F 2.01-2.02
Ni: 0.1663 0.8332 0.5000  6 F 2.01-2.02
Ni: 0.8332 0.1663 0.5000  6 F 2.01-2.02
Ni: 0.3335 0.6676 0.0000  6 F 2.01-2.02
O: 0.3065 0.3065 0.0000  3 Ni 1.97-2.01
F: 0.3633 0.0301 0.0000  3 Ni 2.01-2.02
F: 0.6973 0.6973 0.0000  3 Ni 2.03-2.06
F: 0.6015 0.3983 0.5000  3 Ni 2.02-2.03
F: 0.7323 0.2677 0.5000  3 Ni 2.02
F: 0.0657 0.9337 0.5000  3 Ni 2.01-2.03
F: 0.9706 0.6366 0.0000  3 Ni 2.01-2.02
F: 0.0301 0.3633 0.0000  3 Ni 2.01-2.02
F: 0.2677 0.7323 0.5000  3 Ni 2.02
F: 0.9337 0.0657 0.5000  3 Ni 2.01-2.03
F: 0.3983 0.6015 0.5000  3 Ni 2.02-2.03
F: 0.6366 0.9706 0.0000  3 Ni 2.01-2.02

=====

Record 4
Ni3OF5: optimized geometry, PBE+U.

Output
Space-group type: P1, No. 1
Formation enthalpy at 0 K (eV/atom): -1.9959
Magnetization (Bohr magnetons per cell): 14.003
Energy (eV per atom): -4.356

Lattice parameters (Å, degrees): 4.6897 5.6229 7.7621 93.75 90.00 90.00
Last column: nearest neighbours and their distance in Å.
Fractional positions:
Ni: 0.4967 0.4922 0.0003  1 O 1.98, 5 F 2.02-2.06
Ni: 0.5038 0.8349 0.3307  6 F 2.00-2.04
Ni: 0.4820 0.1717 0.6696  2 O 1.95-1.96, 4 F 2.02-2.06
Ni: 0.0061 0.3312 0.3404  1 O 1.97, 5 F 2.02-2.05
Ni: 0.0058 0.6613 0.6648  1 O 1.97, 5 F 2.01-2.06
Ni: 0.0087 0.0060 0.9954  1 O 1.96, 5 F 2.03-2.06
O: 0.1946 0.3698 0.5672  3 Ni 1.95-1.97
O: 0.3031 0.2039 0.8983  3 Ni 1.96-1.98
F: 0.1958 0.0342 0.2325  3 Ni 2.01-2.04
F: 0.1976 0.7016 0.8988  3 Ni 2.02-2.03
F: 0.3026 0.5362 0.2324  3 Ni 2.02-2.03
F: 0.3034 0.8685 0.5641  3 Ni 2.01-2.04
F: 0.6931 0.1328 0.4380  3 Ni 2.02-2.05
F: 0.6994 0.4643 0.7681  3 Ni 2.01-2.04
F: 0.6981 0.7978 0.0961  3 Ni 2.03-2.06
F: 0.8021 0.9644 0.7640  3 Ni 2.04-2.06
F: 0.8063 0.2977 0.1057  3 Ni 2.02-2.05
F: 0.8008 0.6314 0.4335  3 Ni 2.00-2.03

=====

Record 5
Ni3OF5: optimized geometry, PBE+U.

Output
Space-group type: C2/m, No. 12
Formation enthalpy at 0 K (eV/atom): -1.9957
Magnetization (Bohr magnetons per cell): 14.000
Energy (eV per atom): -4.356

Lattice parameters (Å, degrees): 4.7047 4.7047 9.2701 90.00 90.00 91.11
Last column: nearest neighbours and their distance in Å.
Fractional positions:
Ni: 0.0157 0.0157 0.8331  1 O 1.94, 5 F 2.03-2.04
Ni: 0.9843 0.9843 0.1669  1 O 1.94, 5 F 2.03-2.04
Ni: 0.0000 0.0000 0.5000  6 F 2.01-2.03
Ni: 0.4983 0.4983 0.6703  1 O 1.96, 5 F 2.03-2.05
Ni: 0.5000 0.5000 0.0000  2 O 1.98, 4 F 2.04-2.06
Ni: 0.5017 0.5017 0.3297  1 O 1.96, 5 F 2.03-2.05
O: 0.6897 0.6897 0.1659  3 Ni 1.94-1.98
O: 0.3103 0.3103 0.8341  3 Ni 1.94-1.98
F: 0.2012 0.8077 0.6667  3 Ni 2.03-2.04
F: 0.1966 0.8034 0.0000  3 Ni 2.04
F: 0.1923 0.7988 0.3333  3 Ni 2.03-2.04
F: 0.7081 0.7081 0.8335  3 Ni 2.03-2.06
F: 0.6950 0.6950 0.5017  3 Ni 2.01-2.04
F: 0.2919 0.2919 0.1665  3 Ni 2.03-2.06
F: 0.3050 0.3050 0.4983  3 Ni 2.01-2.04
F: 0.8034 0.1966 0.0000  3 Ni 2.04
F: 0.8077 0.2012 0.6667  3 Ni 2.03-2.04
F: 0.7988 0.1923 0.3333  3 Ni 2.03-2.04

=====

Record 6
Ni3OF5: optimized geometry, PBE+U.

Output
Space-group type: P1, No. 1
Formation enthalpy at 0 K (eV/atom): -1.9971
Magnetization (Bohr magnetons per cell): 13.999
Energy (eV per atom): -4.357

Lattice parameters (Å, degrees): 5.6272 5.6339 7.3342 72.34 72.33 72.40
Last column: nearest neighbours and their distance in Å.
Fractional positions:
Ni: 0.3338 0.3415 0.1624  1 O 1.97, 5 F 2.02-2.05
Ni: 0.3381 0.3397 0.6676  1 O 1.97, 5 F 2.02-2.05
Ni: 0.6640 0.6681 0.3401  1 O 1.98, 5 F 2.02-2.05
Ni: 0.6548 0.6632 0.8323  2 O 1.96-1.97, 4 F 2.05-2.06
Ni: 0.9997 0.0026 0.5000  6 F 2.02-2.04
Ni: 0.0087 0.9881 0.9996  1 O 1.97, 5 F 2.03-2.05
O: 0.5623 0.5677 0.6308  3 Ni 1.97-1.98
O: 0.3045 0.6930 0.9977  3 Ni 1.96-1.97
F: 0.3619 0.9752 0.3296  3 Ni 2.03-2.04
F: 0.0258 0.6393 0.6704  3 Ni 2.04-2.05
F: 0.1053 0.1049 0.6999  3 Ni 2.02-2.05
F: 0.4339 0.4355 0.3683  3 Ni 2.02-2.03
F: 0.7635 0.7622 0.0381  3 Ni 2.05-2.06
F: 0.9002 0.8989 0.2984  3 Ni 2.02-2.03
F: 0.2328 0.2304 0.9649  3 Ni 2.02-2.04
F: 0.6378 0.0309 0.6670  3 Ni 2.02-2.05
F: 0.9692 0.3646 0.3337  3 Ni 2.02-2.04
F: 0.7039 0.2943 0.9993  3 Ni 2.03-2.05

=====

Record 7
Ni3OF5: optimized geometry, PBE+U.

Output
Space-group type: P-1, No. 2
Formation enthalpy at 0 K (eV/atom): -1.9945
Magnetization (Bohr magnetons per cell): 14.002
Energy (eV per atom): -4.355

Lattice parameters (Å, degrees): 4.7074 5.6329 7.7814 86.11 89.38 89.12
Last column: nearest neighbours and their distance in Å.
Fractional positions:
Ni: 0.5000 0.5000 0.0000  2 O 2.00, 4 F 2.04
Ni: 0.5074 0.8256 0.6666  1 O 1.97, 5 F 2.03-2.06
Ni: 0.4926 0.1744 0.3334  1 O 1.97, 5 F 2.03-2.06
Ni: 0.9873 0.3397 0.6707  1 O 1.94, 5 F 2.03-2.06
Ni: 0.0127 0.6603 0.3293  1 O 1.94, 5 F 2.03-2.06
Ni: 0.0000 0.0000 0.0000  6 F 1.99-2.04
O: 0.6936 0.5356 0.7701  3 Ni 1.94-2.00
O: 0.3064 0.4644 0.2299  3 Ni 1.94-2.00
F: 0.8039 0.3685 0.4343  3 Ni 2.04-2.05
F: 0.8025 0.0345 0.7676  3 Ni 2.03-2.04
F: 0.8042 0.7029 0.1014  3 Ni 2.03-2.04
F: 0.7001 0.2003 0.1023  3 Ni 1.99-2.04
F: 0.6982 0.8687 0.4299  3 Ni 2.04-2.06
F: 0.3018 0.1313 0.5701  3 Ni 2.04-2.06
F: 0.2999 0.7997 0.8977  3 Ni 1.99-2.04
F: 0.1975 0.9655 0.2324  3 Ni 2.03-2.04
F: 0.1958 0.2971 0.8986  3 Ni 2.03-2.04
F: 0.1961 0.6315 0.5657  3 Ni 2.04-2.05

=====

Record 8
Ni3OF5: optimized geometry, PBE+U.

Output
Space-group type: Pmn2_1, No. 31
Formation enthalpy at 0 K (eV/atom): -2.0006
Magnetization (Bohr magnetons per cell): 0.000
Energy (eV per atom): -4.361

Lattice parameters (Å, degrees): 4.7022 9.2965 4.7115 90.00 90.02 90.00
Last column: nearest neighbours and their distance in Å.
Fractional positions:
Ni: 0.0106 0.0000 0.0125  1 O 1.97, 5 F 2.03-2.05
Ni: 0.4942 0.1631 0.4981  1 O 1.97, 5 F 2.03-2.05
Ni: 0.4942 0.8369 0.4981  1 O 1.97, 5 F 2.03-2.05
Ni: 0.5107 0.5000 0.4875  1 O 1.97, 5 F 2.03-2.05
Ni: 0.9942 0.6633 0.0019  1 O 1.97, 5 F 2.03-2.06
Ni: 0.9942 0.3368 0.0019  1 O 1.97, 5 F 2.03-2.06
O: 0.8040 0.5000 0.1900  3 Ni 1.97
O: 0.3040 0.0000 0.3100  3 Ni 1.97
F: 0.7028 0.0000 0.7057  3 Ni 2.05
F: 0.2031 0.5000 0.7943  3 Ni 2.05-2.06
F: 0.8025 0.1667 0.1978  3 Ni 2.03-2.04
F: 0.8024 0.8333 0.1977  3 Ni 2.03-2.04
F: 0.3024 0.3335 0.3022  3 Ni 2.03-2.04
F: 0.3024 0.6665 0.3022  3 Ni 2.03-2.04
F: 0.6946 0.3314 0.6931  3 Ni 2.03-2.04
F: 0.6946 0.6686 0.6931  3 Ni 2.03-2.04
F: 0.1945 0.8312 0.8070  3 Ni 2.03-2.04
F: 0.1945 0.1688 0.8069  3 Ni 2.03-2.04

=====

Record 9
Ni3OF5: optimized geometry, PBE+U.

Output
Space-group type: Amm2, No. 38
Formation enthalpy at 0 K (eV/atom): -1.9942
Magnetization (Bohr magnetons per cell): 13.999
Energy (eV per atom): -4.354

Lattice parameters (Å, degrees): 4.6890 4.6891 9.2835 90.00 90.00 89.22
Last column: nearest neighbours and their distance in Å.
Fractional positions:
Ni: 0.0079 0.9921 0.6631  1 O 1.95, 5 F 2.02-2.06
Ni: 0.0009 0.9991 0.3333  2 O 2.02, 4 F 2.02-2.05
Ni: 0.0079 0.9921 0.0036  1 O 1.95, 5 F 2.03-2.06
Ni: 0.4885 0.5115 0.1664  1 O 1.93, 5 F 2.02-2.03
Ni: 0.5071 0.4929 0.8333  6 F 2.01-2.03
Ni: 0.4886 0.5114 0.5002  1 O 1.93, 5 F 2.02-2.03
O: 0.1954 0.8046 0.1655  3 Ni 1.93-2.02
O: 0.1955 0.8046 0.5012  3 Ni 1.93-2.02
F: 0.2024 0.7976 0.8334  3 Ni 2.01-2.03
F: 0.3049 0.3015 0.0001  3 Ni 2.03
F: 0.3005 0.3053 0.3333  3 Ni 2.02-2.03
F: 0.3050 0.3014 0.6666  3 Ni 2.02-2.03
F: 0.6985 0.6951 0.0001  3 Ni 2.03
F: 0.6947 0.6994 0.3333  3 Ni 2.02-2.03
F: 0.6987 0.6950 0.6666  3 Ni 2.02-2.03
F: 0.8123 0.1877 0.8333  3 Ni 2.01-2.04
F: 0.7955 0.2045 0.1670  3 Ni 2.02-2.06
F: 0.7956 0.2044 0.4997  3 Ni 2.02-2.06